(1)
Computed, not measured: an optimized crystal structure of LiFeF4 at the GGA+U level of DFT.

Properties
energy above the lowest structure with this stoichiometry: 102 meV per atom
space-group type: No. 14

a b c (Å): 8.2003 5.2681 9.0731
angles (deg): 69.04 90.00 90.00
Closest atoms and distances in Å follow each position.
Element x y z (fractional)
Li1 0.4512 0.6892 0.8519  4 F 1.91-2.05
Li2 0.0488 0.6892 0.3519  4 F 1.91-2.05
Li3 0.9512 0.3108 0.6481  4 F 1.91-2.05
Li4 0.5488 0.3108 0.1481  4 F 1.91-2.05
Fe1 0.6875 0.8570 0.5497  4 F 1.84-1.88
Fe2 0.8125 0.8570 0.0497  4 F 1.84-1.88
Fe3 0.1875 0.1430 0.9503  4 F 1.84-1.88
Fe4 0.3125 0.1430 0.4503  4 F 1.84-1.88
F1 0.2675 0.8373 0.9228  1 Fe 1.84, 1 Li 1.91
F2 0.9396 0.9652 0.8658  1 Fe 1.87
F3 0.2325 0.8373 0.4228  1 Fe 1.84, 1 Li 1.91
F4 0.5604 0.9652 0.3658  1 Fe 1.87
F5 0.6030 0.5766 0.7182  1 Fe 1.84, 1 Li 1.97
F6 0.8795 0.6962 0.5097  1 Fe 1.88, 2 Li 2.00-2.05
F7 0.3795 0.3038 0.9903  1 Fe 1.88, 2 Li 2.00-2.05
F8 0.1030 0.4234 0.7818  1 Fe 1.84, 1 Li 1.97
F9 0.8970 0.5766 0.2182  1 Fe 1.84, 1 Li 1.97
F10 0.6205 0.6962 0.0097  1 Fe 1.88, 2 Li 2.00-2.05
F11 0.1205 0.3038 0.4903  1 Fe 1.88, 2 Li 2.00-2.05
F12 0.3970 0.4234 0.2818  1 Fe 1.84, 1 Li 1.97
F13 0.4396 0.0348 0.6342  1 Fe 1.87
F14 0.7675 0.1627 0.5772  1 Fe 1.84, 1 Li 1.91
F15 0.0604 0.0348 0.1342  1 Fe 1.87
F16 0.7325 0.1627 0.0772  1 Fe 1.84, 1 Li 1.91

(2)
Computed, not measured: an optimized crystal structure of Li6Fe5WO12 at the GGA+U level of DFT.

Properties
energy above the lowest structure with this stoichiometry: 6 meV per atom
space-group type: No. 12

a b c (Å): 5.2362 5.2362 10.2222
angles (deg): 86.55 86.55 120.83
Closest atoms and distances in Å follow each position.
Element x y z (fractional)
Li1 0.3014 0.9471 0.2435  4 O 2.04-2.19
Li2 0.0529 0.6986 0.7565  4 O 2.04-2.19
Li3 0.3853 0.3853 0.7523  3 O 2.07-2.12
Li4 0.6147 0.6147 0.2477  3 O 2.07-2.12
Li5 0.9471 0.3014 0.2435  4 O 2.04-2.19
Li6 0.6986 0.0529 0.7565  4 O 2.04-2.19
Fe1 0.6713 0.3287 0.0000  6 O 2.13-2.20
Fe2 0.5000 0.5000 0.5000  6 O 2.05-2.09
Fe3 0.3287 0.6713 0.0000  6 O 2.13-2.20
Fe4 0.8352 0.1648 0.5000  6 O 2.04-2.09
Fe5 0.1648 0.8352 0.5000  6 O 2.04-2.09
W1 0.0000 0.0000 0.0000  6 O 1.97-2.05
O1 0.6533 0.9674 0.1186  1 W 2.05, 3 Li 2.12-2.19, 2 Fe 2.13-2.14
O2 0.0326 0.3467 0.8814  1 W 2.05, 3 Li 2.12-2.19, 2 Fe 2.13-2.14
O3 0.5336 0.1964 0.3877  1 Li 2.04, 3 Fe 2.07-2.09
O4 0.1376 0.1376 0.6077  3 Fe 2.04-2.05, 1 Li 2.07
O5 0.8036 0.4664 0.6123  1 Li 2.04, 3 Fe 2.07-2.09
O6 0.2781 0.2781 0.1160  1 W 1.97, 2 Li 2.16, 2 Fe 2.20
O7 0.7219 0.7219 0.8840  1 W 1.97, 2 Li 2.16, 2 Fe 2.20
O8 0.1964 0.5336 0.3877  1 Li 2.04, 3 Fe 2.07-2.09
O9 0.8624 0.8624 0.3923  3 Fe 2.04-2.05, 1 Li 2.07
O10 0.4664 0.8036 0.6123  1 Li 2.04, 3 Fe 2.07-2.09
O11 0.9674 0.6533 0.1186  1 W 2.05, 3 Li 2.12-2.19, 2 Fe 2.13-2.14
O12 0.3467 0.0326 0.8814  1 W 2.05, 3 Li 2.12-2.19, 2 Fe 2.13-2.14

(3)
Computed, not measured: an optimized crystal structure of Ti4Cr3P6O24 at the GGA+U level of DFT.

Properties
space-group type: No. 2

a b c (Å): 6.4565 8.1586 9.5514
angles (deg): 106.09 105.80 102.71
Closest atoms and distances in Å follow each position.
Element x y z (fractional)
Ti1 0.0306 0.1996 0.0180  6 O 1.94-2.13
Ti2 0.3938 0.9572 0.6040  6 O 1.94-2.14
Ti3 0.9694 0.8004 0.9820  6 O 1.94-2.13
Ti4 0.6062 0.0428 0.3960  6 O 1.94-2.14
Cr1 0.2711 0.3037 0.7788  4 O 2.01-2.11
Cr2 0.7289 0.6963 0.2212  4 O 2.01-2.11
Cr3 0.0000 0.5000 0.5000  4 O 2.05-2.22
P1 0.4127 0.7437 0.8701  4 O 1.54-1.56
P2 0.7829 0.3570 0.7387  4 O 1.51-1.57
P3 0.9081 0.8980 0.6617  4 O 1.50-1.57
P4 0.0919 0.1020 0.3383  4 O 1.50-1.57
P5 0.2171 0.6430 0.2613  4 O 1.51-1.57
P6 0.5873 0.2563 0.1299  4 O 1.54-1.56
O1 0.3005 0.5460 0.7583  1 P 1.54
O2 0.2603 0.7984 0.9628  1 P 1.55
O3 0.1842 0.4453 0.1860  1 P 1.51
O4 0.1249 0.2968 0.4204  1 P 1.50
O5 0.3524 0.2279 0.0088  1 P 1.56
O6 0.0754 0.0547 0.1636  1 P 1.57
O7 0.9785 0.3030 0.8347  1 P 1.57
O8 0.2975 0.0458 0.4184  1 P 1.57
O9 0.6476 0.7721 0.9912  1 P 1.56
O10 0.7025 0.9542 0.5816  1 P 1.57
O11 0.2153 0.6924 0.4322  1 P 1.57
O12 0.6995 0.4540 0.2417  1 P 1.54
O13 0.0215 0.6970 0.1653  1 P 1.57
O14 0.4414 0.8586 0.7683  1 P 1.55
O15 0.9246 0.9453 0.8364  1 P 1.57
O16 0.7847 0.3076 0.5678  1 P 1.57
O17 0.8158 0.5547 0.8140  1 P 1.51
O18 0.1258 0.0237 0.6597  1 P 1.56
O19 0.5486 0.2386 0.7300  1 P 1.57
O20 0.8742 0.9763 0.3403  1 P 1.56
O21 0.8751 0.7032 0.5796  1 P 1.50
O22 0.7397 0.2016 0.0372  1 P 1.55
O23 0.4514 0.7614 0.2700  1 P 1.57
O24 0.5586 0.1414 0.2317  1 P 1.55

(4)
Computed, not measured: an optimized crystal structure of La3SmFe4O12 at the GGA+U level of DFT.

Properties
space-group type: No. 6

a b c (Å): 7.9137 5.5555 5.6691
angles (deg): 89.86 90.00 90.00
Closest atoms and distances in Å follow each position.
Element x y z (fractional)
La1 0.0000 0.0081 0.9556  6 O 2.41-2.69
La2 0.5000 0.5082 0.5418  4 O 2.40-2.52
La3 0.5000 0.9908 0.0436  4 O 2.40-2.52
Sm1 0.0000 0.4904 0.4464  4 O 2.34-2.41
Fe1 0.2485 0.5005 0.9986  6 O 2.03-2.07
Fe2 0.7524 0.9997 0.5007  6 O 2.03-2.05
Fe3 0.7515 0.5005 0.9986  6 O 2.03-2.07
Fe4 0.2476 0.9997 0.5007  6 O 2.03-2.05
O1 0.2043 0.2074 0.2070  2 Fe 2.04-2.05
O2 0.7993 0.3001 0.6993  2 Fe 2.05-2.07
O3 0.7071 0.7980 0.7983  2 Fe 2.03-2.05
O4 0.2911 0.7037 0.2969  2 Fe 2.04-2.06
O5 0.2929 0.7980 0.7983  2 Fe 2.03-2.05
O6 0.7089 0.7037 0.2969  2 Fe 2.04-2.06
O7 0.7957 0.2074 0.2070  2 Fe 2.04-2.05
O8 0.2007 0.3001 0.6993  2 Fe 2.05-2.07
O9 0.0000 0.5815 0.0314  2 Fe 2.03
O10 0.0000 0.9038 0.5221  2 Fe 2.03
O11 0.5000 0.4179 0.9777  2 Fe 2.05
O12 0.5000 0.0804 0.4796  2 Fe 2.05

(5)
Computed, not measured: an optimized crystal structure of Li4Ti4Fe4CoO18 at the GGA+U level of DFT.

Properties
space-group type: No. 55

a b c (Å): 2.9270 9.1156 24.7561
angles (deg): 90.00 90.00 90.00
Closest atoms and distances in Å follow each position.
Element x y z (fractional)
Li1 0.0000 0.2050 0.9865  4 O 2.09-2.22
Li2 0.0000 0.1995 0.1893  5 O 2.17-2.37
Li3 0.0000 0.3005 0.6893  5 O 2.17-2.37
Li4 0.0000 0.2950 0.4865  4 O 2.09-2.22
Li5 0.0000 0.7050 0.5135  4 O 2.09-2.22
Li6 0.0000 0.6995 0.3107  5 O 2.17-2.37
Li7 0.0000 0.8005 0.8107  5 O 2.17-2.37
Li8 0.0000 0.7950 0.0135  4 O 2.09-2.22
Ti1 0.0000 0.0025 0.0992  6 O 1.90-2.10
Ti2 0.5000 0.1548 0.8073  6 O 1.96-2.03
Ti3 0.5000 0.3452 0.3073  6 O 1.96-2.03
Ti4 0.0000 0.4975 0.5992  6 O 1.90-2.10
Ti5 0.0000 0.5025 0.4008  6 O 1.90-2.10
Ti6 0.5000 0.6548 0.6927  6 O 1.96-2.03
Ti7 0.5000 0.8452 0.1927  6 O 1.96-2.03
Ti8 0.0000 0.9975 0.9008  6 O 1.90-2.10
Fe1 0.0000 0.0052 0.3132  5 O 1.94-2.06
Fe2 0.5000 0.1422 0.5835  6 O 1.93-2.02
Fe3 0.5000 0.3578 0.0835  6 O 1.93-2.02
Fe4 0.0000 0.4948 0.8132  5 O 1.94-2.06
Fe5 0.0000 0.5052 0.1868  5 O 1.94-2.06
Fe6 0.5000 0.6422 0.9165  6 O 1.93-2.02
Fe7 0.5000 0.8578 0.4165  6 O 1.93-2.02
Fe8 0.0000 0.9948 0.6868  5 O 1.94-2.06
Co1 0.0000 0.0000 0.5000  6 O 1.90-1.95
Co2 0.0000 0.5000 0.0000  6 O 1.90-1.95
O1 0.0000 0.0007 0.4232  1 Co 1.90, 2 Fe 1.97
O2 0.0000 0.9993 0.5768  1 Co 1.90, 2 Fe 1.97
O3 0.5000 0.0617 0.9445  2 Ti 1.91
O4 0.5000 0.0464 0.1579  3 Ti 2.03-2.10, 2 Li 2.17
O5 0.5000 0.1212 0.6609  3 Fe 1.93-1.97
O6 0.0000 0.1166 0.7567  2 Ti 1.96, 1 Fe 2.06
O7 0.5000 0.1400 0.5056  1 Fe 1.93, 2 Co 1.95, 2 Li 2.09
O8 0.5000 0.1326 0.2923  2 Fe 1.94, 1 Ti 1.97
O9 0.0000 0.1861 0.8587  3 Ti 1.96-2.01
O10 0.0000 0.2053 0.0815  1 Ti 1.90, 2 Fe 2.02
O11 0.0000 0.2947 0.5815  1 Ti 1.90, 2 Fe 2.02
O12 0.0000 0.3139 0.3587  3 Ti 1.96-2.01
O13 0.5000 0.3674 0.7923  2 Fe 1.94, 1 Ti 1.97
O14 0.5000 0.3600 0.0056  1 Fe 1.93, 2 Co 1.95, 2 Li 2.09
O15 0.0000 0.3834 0.2567  2 Ti 1.96, 1 Fe 2.06
O16 0.5000 0.3788 0.1609  3 Fe 1.93-1.97
O17 0.5000 0.4536 0.6579  3 Ti 2.03-2.10, 2 Li 2.17
O18 0.5000 0.4383 0.4445  2 Ti 1.91
O19 0.0000 0.5007 0.0768  1 Co 1.90, 2 Fe 1.97
O20 0.0000 0.4993 0.9232  1 Co 1.90, 2 Fe 1.97
O21 0.5000 0.5617 0.5555  2 Ti 1.91
O22 0.5000 0.5464 0.3421  3 Ti 2.03-2.10, 2 Li 2.17
O23 0.5000 0.6212 0.8391  3 Fe 1.93-1.97
O24 0.0000 0.6166 0.7433  2 Ti 1.96, 1 Fe 2.06
O25 0.5000 0.6400 0.9944  1 Fe 1.93, 2 Co 1.95, 2 Li 2.09
O26 0.5000 0.6326 0.2077  2 Fe 1.94, 1 Ti 1.97
O27 0.0000 0.6861 0.6413  3 Ti 1.96-2.01
O28 0.0000 0.7053 0.4185  1 Ti 1.90, 2 Fe 2.02
O29 0.0000 0.7947 0.9185  1 Ti 1.90, 2 Fe 2.02
O30 0.0000 0.8139 0.1413  3 Ti 1.96-2.01
O31 0.5000 0.8674 0.7077  2 Fe 1.94, 1 Ti 1.97
O32 0.5000 0.8600 0.4944  1 Fe 1.93, 2 Co 1.95, 2 Li 2.09
O33 0.0000 0.8834 0.2433  2 Ti 1.96, 1 Fe 2.06
O34 0.5000 0.8788 0.3391  3 Fe 1.93-1.97
O35 0.5000 0.9536 0.8421  3 Ti 2.03-2.10, 2 Li 2.17
O36 0.5000 0.9383 0.0555  2 Ti 1.91

(6)
Computed, not measured: an optimized crystal structure of K2RbDyV2O8 at the GGA+U level of DFT.

Properties
space-group type: No. 164

a b c (Å): 6.0252 6.0252 7.8524
angles (deg): 90.00 90.00 120.00
Closest atoms and distances in Å follow each position.
Element x y z (fractional)
K1 0.3333 0.6667 0.7020  1 O 2.64
K2 0.6667 0.3333 0.2980  1 O 2.64
Rb1 0.0000 0.0000 0.0000  12 O 3.16-3.49
Dy1 0.0000 0.0000 0.5000  6 O 2.26
V1 0.3333 0.6667 0.2527  4 O 1.68-1.77
V2 0.6667 0.3333 0.7473  4 O 1.68-1.77
O1 0.3333 0.6667 0.0386  1 V 1.68
O2 0.6667 0.3333 0.9614  1 V 1.68
O3 0.1742 0.8258 0.3292  1 V 1.77
O4 0.8258 0.1742 0.6708  1 V 1.77
O5 0.1742 0.3484 0.3292  1 V 1.77
O6 0.8258 0.6516 0.6708  1 V 1.77
O7 0.6516 0.8258 0.3292  1 V 1.77
O8 0.3484 0.1742 0.6708  1 V 1.77

(7)
Computed, not measured: an optimized crystal structure of PaCoO3 at the GGA+U level of DFT.

Properties
space-group type: No. 221

a b c (Å): 3.7822 3.7822 3.7822
angles (deg): 90.00 90.00 90.00
Closest atoms and distances in Å follow each position.
Element x y z (fractional)
Pa1 0.0000 0.0000 0.0000  12 O 2.67
Co1 0.5000 0.5000 0.5000  6 O 1.89
O1 0.5000 0.5000 0.0000  2 Co 1.89
O2 0.5000 0.0000 0.5000  2 Co 1.89
O3 0.0000 0.5000 0.5000  2 Co 1.89

(8)
Computed, not measured: an optimized crystal structure of Li2Ti4NiP4O20 at the GGA+U level of DFT.

Properties
energy above the lowest structure with this stoichiometry: 5 meV per atom
space-group type: No. 14

a b c (Å): 7.3280 7.4462 12.9142
angles (deg): 89.86 90.00 90.00
Closest atoms and distances in Å follow each position.
Element x y z (fractional)
Li1 0.0076 0.9916 0.2465  6 O 2.08-2.30
Li2 0.4924 0.4916 0.7465  6 O 2.08-2.30
Li3 0.9924 0.0084 0.7535  6 O 2.08-2.30
Li4 0.5076 0.5084 0.2535  6 O 2.08-2.30
Ti1 0.7878 0.3346 0.1265  2 O 1.71-1.91
Ti2 0.7330 0.8411 0.1183  3 O 1.79-1.94
Ti3 0.2670 0.1589 0.8817  3 O 1.79-1.94
Ti4 0.2122 0.6654 0.8735  2 O 1.71-1.91
Ti5 0.7670 0.3411 0.6183  3 O 1.79-1.94
Ti6 0.7122 0.8346 0.6265  2 O 1.71-1.91
Ti7 0.2878 0.1654 0.3735  2 O 1.71-1.91
Ti8 0.2330 0.6589 0.3817  3 O 1.79-1.94
Ni1 0.5000 0.5000 0.0000  6 O 2.05-2.17
Ni2 0.0000 0.0000 0.5000  6 O 2.05-2.17
P1 0.3760 0.1256 0.1245  4 O 1.53-1.58
P2 0.1313 0.6259 0.1286  4 O 1.53-1.57
P3 0.8687 0.3741 0.8714  4 O 1.53-1.57
P4 0.6240 0.8744 0.8755  4 O 1.53-1.58
P5 0.3687 0.1259 0.6286  4 O 1.53-1.57
P6 0.1240 0.6256 0.6245  4 O 1.53-1.58
P7 0.8760 0.3744 0.3755  4 O 1.53-1.58
P8 0.6313 0.8741 0.3714  4 O 1.53-1.57
O1 0.2540 0.1234 0.2222  1 P 1.55
O2 0.2574 0.6315 0.2233  1 P 1.53
O3 0.8416 0.1119 0.1323  1 Ti 1.71
O4 0.0219 0.4478 0.1250  1 P 1.55
O5 0.6526 0.6139 0.1158  1 Ti 1.79
O6 0.4968 0.9570 0.1249  1 P 1.54
O7 0.4986 0.3004 0.1227  1 P 1.58
O8 0.0011 0.7886 0.1299  1 P 1.54
O9 0.2510 0.1270 0.0295  1 P 1.53
O10 0.2550 0.6325 0.0297  1 P 1.57
O11 0.7450 0.3675 0.9703  1 P 1.57
O12 0.7490 0.8730 0.9705  1 P 1.53
O13 0.9989 0.2114 0.8701  1 P 1.54
O14 0.5014 0.6996 0.8773  1 P 1.58
O15 0.5032 0.0430 0.8751  1 P 1.54
O16 0.3474 0.3861 0.8842  1 Ti 1.79
O17 0.9781 0.5522 0.8750  1 P 1.55
O18 0.1584 0.8881 0.8677  1 Ti 1.71
O19 0.7426 0.3685 0.7767  1 P 1.53
O20 0.7460 0.8766 0.7778  1 P 1.55
O21 0.2426 0.1315 0.7233  1 P 1.53
O22 0.2460 0.6234 0.7222  1 P 1.55
O23 0.8474 0.1139 0.6158  1 Ti 1.79
O24 0.0032 0.4570 0.6249  1 P 1.54
O25 0.6584 0.6119 0.6323  1 Ti 1.71
O26 0.4781 0.9478 0.6250  1 P 1.55
O27 0.4989 0.2886 0.6299  1 P 1.54
O28 0.0014 0.8004 0.6227  1 P 1.58
O29 0.2450 0.1325 0.5297  1 P 1.57
O30 0.2490 0.6270 0.5295  1 P 1.53
O31 0.7510 0.3730 0.4705  1 P 1.53
O32 0.7550 0.8675 0.4703  1 P 1.57
O33 0.9986 0.1996 0.3773  1 P 1.58
O34 0.5011 0.7114 0.3701  1 P 1.54
O35 0.5219 0.0522 0.3750  1 P 1.55
O36 0.3416 0.3881 0.3677  1 Ti 1.71
O37 0.9968 0.5430 0.3751  1 P 1.54
O38 0.1526 0.8861 0.3842  1 Ti 1.79
O39 0.7540 0.3766 0.2778  1 P 1.55
O40 0.7574 0.8685 0.2767  1 P 1.53

Calculated density per entry: 2.52 4.84 3.46 6.55 3.97 3.74 10.37 3.34 g cm⁻³
Total energy per entry: -5.04 -6.18 -7.91 -7.59 -7.11 -6.78 -7.86 -7.65 eV per atom